(1)
Here is a geometry-optimized ScTlMo2O8 structure from the Materials Project. Energies are from PBE with a Hubbard U.

Output
- SG: No. 62
- VASP energy: -7.18 eV per atom

Unit cell a=15.329 b=5.915 c=9.034 alpha=90.00 beta=90.00 gamma=90.00
Fractional positions:
Sc 0.113 0.250 0.193
Sc 0.387 0.750 0.693
Sc 0.613 0.250 0.307
Sc 0.887 0.750 0.807
Tl 0.126 0.750 0.561
Tl 0.374 0.250 0.061
Tl 0.626 0.750 0.939
Tl 0.874 0.250 0.439
Mo 0.036 0.250 0.790
Mo 0.217 0.750 0.998
Mo 0.283 0.250 0.498
Mo 0.464 0.750 0.290
Mo 0.536 0.250 0.710
Mo 0.717 0.750 0.502
Mo 0.783 0.250 0.002
Mo 0.964 0.750 0.210
O 0.026 0.503 0.272
O 0.026 0.997 0.272
O 0.050 0.250 0.987
O 0.136 0.750 0.863
O 0.138 0.250 0.701
O 0.180 0.250 0.396
O 0.201 0.005 0.107
O 0.201 0.495 0.107
O 0.299 0.505 0.607
O 0.299 0.995 0.607
O 0.320 0.750 0.896
O 0.362 0.750 0.201
O 0.364 0.250 0.363
O 0.450 0.750 0.487
O 0.474 0.003 0.772
O 0.474 0.497 0.772
O 0.526 0.503 0.228
O 0.526 0.997 0.228
O 0.550 0.250 0.513
O 0.636 0.750 0.637
O 0.638 0.250 0.799
O 0.680 0.250 0.104
O 0.701 0.005 0.393
O 0.701 0.495 0.393
O 0.799 0.505 0.893
O 0.799 0.995 0.893
O 0.820 0.750 0.604
O 0.862 0.750 0.299
O 0.864 0.250 0.137
O 0.950 0.750 0.013
O 0.974 0.003 0.728
O 0.974 0.497 0.728

---

(2)
Here is a geometry-optimized ZnCrF5 structure from the Materials Project. Energies are from PBE with a Hubbard U.

Output
- SG: No. 14
- VASP energy: -5.11 eV per atom

Unit cell a=5.229 b=9.820 c=7.479 alpha=90.00 beta=110.31 gamma=90.00
Fractional positions:
Zn 0.012 0.006 0.249
Zn 0.012 0.494 0.749
Zn 0.988 0.506 0.251
Zn 0.988 0.994 0.751
Cr 0.403 0.246 0.603
Cr 0.403 0.254 0.103
Cr 0.597 0.746 0.897
Cr 0.597 0.754 0.397
F 0.106 0.114 0.562
F 0.106 0.386 0.062
F 0.142 0.108 0.002
F 0.142 0.392 0.502
F 0.293 0.630 0.349
F 0.293 0.870 0.849
F 0.352 0.593 0.804
F 0.352 0.907 0.304
F 0.366 0.197 0.343
F 0.366 0.303 0.843
F 0.634 0.697 0.157
F 0.634 0.803 0.657
F 0.648 0.093 0.696
F 0.648 0.407 0.196
F 0.707 0.130 0.151
F 0.707 0.370 0.651
F 0.858 0.608 0.498
F 0.858 0.892 0.998
F 0.894 0.614 0.938
F 0.894 0.886 0.438

---

(3)
Here is a geometry-optimized LiFeS2O8 structure from the Materials Project. Energies are from PBE with a Hubbard U.

Output
- SG: No. 1
- VASP energy: -6.16 eV per atom

Unit cell a=8.367 b=8.383 c=8.943 alpha=62.44 beta=62.47 gamma=60.16
Fractional positions:
Li 0.000 0.000 0.000
Li 0.013 0.622 0.085
Li 0.612 0.257 0.084
Fe 0.188 0.191 0.400
Fe 0.476 0.486 0.525
Fe 0.680 0.703 0.897
S 0.086 0.798 0.708
S 0.297 0.592 0.206
S 0.368 0.099 0.708
S 0.583 0.877 0.204
S 0.788 0.385 0.708
S 0.870 0.312 0.207
O 0.065 0.223 0.230
O 0.110 0.804 0.857
O 0.132 0.952 0.542
O 0.171 0.789 0.156
O 0.185 0.128 0.845
O 0.210 0.459 0.222
O 0.215 0.607 0.678
O 0.328 0.532 0.376
O 0.347 0.142 0.534
O 0.461 0.079 0.220
O 0.462 0.227 0.681
O 0.493 0.546 0.065
O 0.508 0.895 0.749
O 0.518 0.740 0.376
O 0.546 0.865 0.062
O 0.596 0.477 0.677
O 0.723 0.344 0.376
O 0.787 0.844 0.160
O 0.795 0.206 0.855
O 0.812 0.524 0.749
O 0.837 0.191 0.156
O 0.861 0.505 0.065
O 0.882 0.823 0.745
O 0.943 0.351 0.541

---

> Which of these has the highest VASP energy?

ZnCrF5

---

> Which formula does entry 2 have?

ZnCrF5

---

> Which value of VASP energy does entry 3 give?

-6.16 eV per atom

---

> Which of these has the lowest VASP energy?

ScTlMo2O8